This record from the Materials Project database describes an optimized crystal structure of Pr2Se3. The functional is r²SCAN.

Properties
Its electronic total energy is -22.54 eV/atom. The calculation puts the volume at 27.4 Å³/atom. For the total magnetization, the calculation gives 0.00 μB/f.u. The calculation puts the energy of formation at -1057 kJ/mol of formula units.

Structure (CIF):
```
data_Pr2Se3
_chemical_formula_sum 'Pr32 Se48'
_cell_length_a 9.0066
_cell_length_b 9.0066
_cell_length_c 26.9759
_cell_angle_alpha 90.00
_cell_angle_beta 90.00
_cell_angle_gamma 90.00
_symmetry_space_group_name_H-M 'I -4 2 d'
_symmetry_Int_Tables_number 122
_symmetry_space_group_name_Hall 'I -4 2bw'
loop_
_atom_site_label
_atom_site_type_symbol
_atom_site_fract_x
_atom_site_fract_y
_atom_site_fract_z
Pr1 Pr 0.0000 0.0000 0.1662
Pr2 Pr 0.1192 0.2500 0.6250
Pr3 Pr 0.1355 0.2417 0.2895
Se1 Se 0.0710 0.1757 0.0667
Se2 Se 0.0724 0.1811 0.3956
Se3 Se 0.0797 0.1727 0.7338
```

This record from the Materials Project database describes an optimized crystal structure of SrPr2Se4. The functional is r²SCAN.

Properties
Its electronic total energy is -20.99 eV/atom. The calculation puts the volume at 26.9 Å³/atom. For the total magnetization, the calculation gives 0.00 μB/f.u. The calculation puts the energy of formation at -1517 kJ/mol of formula units.

Structure (CIF):
```
data_SrPr2Se4
_chemical_formula_sum 'Sr4 Pr8 Se16'
_cell_length_a 9.0990
_cell_length_b 9.0990
_cell_length_c 9.0912
_cell_angle_alpha 90.00
_cell_angle_beta 90.00
_cell_angle_gamma 90.00
_symmetry_space_group_name_H-M 'I -4 2 d'
_symmetry_Int_Tables_number 122
_symmetry_space_group_name_Hall 'I -4 2bw'
loop_
_atom_site_label
_atom_site_type_symbol
_atom_site_fract_x
_atom_site_fract_y
_atom_site_fract_z
Sr1 Sr 0.0000 0.0000 0.0000
Pr1 Pr 0.1272 0.7500 0.6250
Se1 Se 0.0753 0.6741 0.9425
```

This record from the Materials Project database describes an optimized crystal structure of Pr2USe5. The functional is r²SCAN.

Properties
Its electronic total energy is -28.29 eV/atom. The calculation puts the volume at 26.3 Å³/atom. For the total magnetization, the calculation gives 2.00 μB/f.u. The calculation puts the energy of formation at -1543 kJ/mol of formula units.

Structure (CIF):
```
data_Pr2USe5
_chemical_formula_sum 'Pr8 U4 Se20'
_cell_length_a 12.5176
_cell_length_b 7.9199
_cell_length_c 8.5051
_cell_angle_alpha 90.00
_cell_angle_beta 90.00
_cell_angle_gamma 90.00
_symmetry_space_group_name_H-M 'P n a 21'
_symmetry_Int_Tables_number 33
_symmetry_space_group_name_Hall 'P 2c -2n'
loop_
_atom_site_label
_atom_site_type_symbol
_atom_site_fract_x
_atom_site_fract_y
_atom_site_fract_z
Pr1 Pr 0.1772 0.0233 0.0000
Pr2 Pr 0.1782 0.0240 0.5016
U1 U 0.0084 0.5719 0.2505
Se1 Se 0.0009 0.9552 0.2504
Se2 Se 0.0948 0.6638 0.9574
Se3 Se 0.0958 0.6629 0.5417
Se4 Se 0.1845 0.3300 0.2519
Se5 Se 0.2139 0.3045 0.7508
```

This record from the Materials Project database describes an optimized crystal structure of YbPrSe2. The functional is r²SCAN.

Properties
Its electronic total energy is -25.65 eV/atom. The calculation puts the volume at 24.8 Å³/atom. For the total magnetization, the calculation gives 0.00 μB/f.u. The calculation puts the energy of formation at -775 kJ/mol of formula units.

Structure (CIF):
```
data_YbPrSe2
_chemical_formula_sum 'Yb3 Pr3 Se6'
_cell_length_a 4.0341
_cell_length_b 4.0341
_cell_length_c 21.1135
_cell_angle_alpha 90.00
_cell_angle_beta 90.00
_cell_angle_gamma 120.00
_symmetry_space_group_name_H-M 'R -3 m'
_symmetry_Int_Tables_number 166
_symmetry_space_group_name_Hall '-R 3 2"'
loop_
_atom_site_label
_atom_site_type_symbol
_atom_site_fract_x
_atom_site_fract_y
_atom_site_fract_z
Yb1 Yb 0.0000 0.0000 0.0000
Pr1 Pr 0.0000 0.0000 0.5000
Se1 Se 0.0000 0.0000 0.2590
```

Which formula does entry 4 have? YbPrSe2

Look up the electronic total energy of the first one. -22.54 eV/atom

The highest electronic total energy belongs to which entry? SrPr2Se4

Look up the energy of formation of the fourth one. -775 kJ/mol of formula units